Entry 1:
Computed, not measured: crystalline BaGa4O7 at its relaxed geometry at the PBE level of DFT.

a = 13.841 Å, b = 9.506 Å, c = 5.860 Å
α = 90.00°, β = 104.63°, γ = 90.00°
Space group C2/c (No. 15)
One atom of each set of equivalent atoms:
Ba 0.000 0.190 0.250
Ga 0.120 0.436 0.768
Ga 0.174 0.087 0.801
O 0.000 0.477 0.250
O 0.122 0.038 0.053
O 0.126 0.256 0.667
O 0.186 0.442 0.097

## Properties
energy of formation from the pure elements = -2.486 eV per atom
ρ = 4.70 Mg/m³



Entry 2:
Computed, not measured: crystalline Ba7TiN6 at its relaxed geometry at the PBE level of DFT.

a = 12.636 Å, b = 7.071 Å, c = 14.590 Å
α = 90.00°, β = 90.00°, γ = 90.00°
Space group Pbcn (No. 60)
One atom of each set of equivalent atoms:
Ba 0.000 0.071 0.250
Ba 0.034 0.242 0.520
Ba 0.213 0.402 0.126
Ba 0.227 0.336 0.873
Ti 0.000 0.423 0.750
N 0.052 0.420 0.351
N 0.117 0.257 0.710
N 0.163 0.102 0.002

## Properties
energy of formation from the pure elements = -0.781 eV per atom
magnetization = 0.000 μB/atom
ρ = 5.57 Mg/m³



| no. | calculated total energy (eV/atom) |
| --- | --- |
| 1 | -6.1411 |
| 2 | -5.7227 |